(1)
This record from the Materials Project describes NaEuO2 after structural relaxation. The functional is PBE.

a = 5.920 Å, b = 5.920 Å, c = 5.920 Å
α = 34.58°, β = 34.58°, γ = 34.58°
Atoms (fractional coordinates):
Na (0.000, 0.000, 0.000)
Eu (0.500, 0.500, 0.500)
O (0.240, 0.240, 0.240)
O (0.760, 0.760, 0.760)

Calculated total energy = -7.641 eV/atom
Formation energy = -2.62 eV/atom


(2)
This record from the Materials Project describes Mg9Si5 after structural relaxation. The functional is PBE.

a = 7.245 Å, b = 7.316 Å, c = 12.351 Å
α = 73.12°, β = 81.16°, γ = 61.47°
Atoms (fractional coordinates):
Mg (0.213, 0.839, 0.355)
Mg (0.039, 0.326, 0.651)
Mg (0.745, 0.148, 0.982)
Mg (0.616, 0.662, 0.507)
Mg (0.391, 0.379, 0.533)
Mg (0.665, 0.068, 0.358)
Mg (0.394, 0.204, 0.824)
Mg (0.613, 0.840, 0.187)
Mg (0.231, 0.979, 0.036)
Mg (0.877, 0.127, 0.537)
Mg (0.580, 0.863, 0.688)
Mg (0.903, 0.327, 0.157)
Mg (0.390, 0.510, 0.181)
Mg (0.025, 0.702, 0.018)
Mg (0.451, 0.593, 0.903)
Mg (0.211, 0.715, 0.683)
Mg (0.942, 0.463, 0.872)
Mg (0.013, 0.501, 0.356)
Si (0.637, 0.465, 0.348)
Si (0.292, 0.072, 0.497)
Si (0.309, 0.302, 0.036)
Si (0.136, 0.982, 0.831)
Si (0.960, 0.726, 0.522)
Si (0.821, 0.971, 0.792)
Si (0.962, 0.890, 0.190)
Si (0.641, 0.398, 0.724)
Si (0.648, 0.772, 0.972)
Si (0.294, 0.177, 0.261)

Excess energy over the best structure of this formula in the dataset = 114 meV/atom
Calculated total energy = -2.961 eV/atom
Formation energy = 0.03 eV/atom


(3)
This record from the Materials Project describes TmAsSe after structural relaxation. The functional is PBE.

a = 3.873 Å, b = 3.886 Å, c = 8.702 Å
α = 90.00°, β = 90.00°, γ = 90.00°
Atoms (fractional coordinates):
Tm (0.750, 0.250, 0.722)
Tm (0.250, 0.750, 0.278)
Se (0.750, 0.250, 0.376)
Se (0.250, 0.750, 0.624)
As (0.750, 0.750, 0.998)
As (0.250, 0.250, 0.002)

Calculated total energy = -5.591 eV/atom
Formation energy = -1.54 eV/atom


(4)
This record from the Materials Project describes Al4W after structural relaxation. The functional is PBE.

a = 9.302 Å, b = 9.302 Å, c = 5.244 Å
α = 87.17°, β = 87.17°, γ = 147.03°
Atoms (fractional coordinates):
Al (0.451, 0.921, 0.416)
Al (0.583, 0.736, 0.314)
Al (0.773, 0.273, 0.926)
Al (0.058, 0.305, 0.192)
Al (0.305, 0.058, 0.192)
Al (0.273, 0.773, 0.926)
Al (0.921, 0.451, 0.416)
Al (0.932, 0.695, 0.786)
Al (0.736, 0.583, 0.314)
Al (0.695, 0.932, 0.786)
Al (0.503, 0.503, 0.850)
Al (0.145, 0.145, 0.488)
W (0.990, 0.990, 0.008)
W (0.192, 0.466, 0.669)
W (0.466, 0.192, 0.669)

Calculated total energy = -5.741 eV/atom
Formation energy = -0.15 eV/atom


(5)
This record from the Materials Project describes Na2SeO2 after structural relaxation. The functional is PBE.

a = 8.710 Å, b = 8.710 Å, c = 8.850 Å
α = 121.56°, β = 121.56°, γ = 86.35°
Atoms (fractional coordinates):
Se (0.125, 0.875, 0.750)
Se (0.625, 0.875, 0.750)
Se (0.125, 0.375, 0.250)
Se (0.125, 0.875, 0.250)
Na (0.879, 0.115, 0.782)
Na (0.371, 0.635, 0.718)
Na (0.885, 0.121, 0.218)
Na (0.918, 0.653, 0.282)
Na (0.347, 0.082, 0.718)
Na (0.332, 0.097, 0.218)
Na (0.365, 0.629, 0.282)
Na (0.903, 0.668, 0.782)
O (0.951, 0.443, 0.381)
O (0.820, 0.813, 0.119)
O (0.557, 0.049, 0.619)
O (0.693, 0.701, 0.881)
O (0.430, 0.937, 0.381)
O (0.187, 0.180, 0.881)
O (0.063, 0.570, 0.619)
O (0.299, 0.307, 0.119)

Calculated total energy = -3.932 eV/atom
Formation energy = -0.79 eV/atom


(6)
This record from the Materials Project describes Tm2Br2F after structural relaxation. The functional is PBE.

a = 3.861 Å, b = 3.861 Å, c = 13.199 Å
α = 90.00°, β = 90.00°, γ = 90.00°
Atoms (fractional coordinates):
Br (0.500, 0.500, 0.646)
Br (0.500, 0.500, 0.354)
Tm (0.500, 0.500, 0.164)
Tm (0.500, 0.500, 0.836)
F (0.500, 0.500, 0.000)

Calculated total energy = -4.222 eV/atom
Formation energy = -1.49 eV/atom